Density functional theory data (PBE-GGA) for Y4Ga2O9 after structural relaxation.

distance to the lowest polymorph of the same formula = 0.000 eV per atom
ΔH_f (0 K) = -3.411 eV per atom

Cell and atoms, written as extended XYZ:
```
60
Lattice="7.470 0.000 0.000 0.000 10.722 0.000 -3.557 0.000 10.847" Properties=species:S:1:pos:R:3 pbc="T T T"
Y -0.914 1.063 3.272
Y -2.692 4.298 8.695
Y -0.867 6.637 6.388
Y 0.911 9.445 0.964
Y -0.808 1.314 10.153
Y 0.971 4.046 4.729
Y 2.784 6.561 2.395
Y 1.005 9.522 7.818
Y 2.907 1.200 3.028
Y 1.128 4.161 8.452
Y 2.942 6.675 6.117
Y 4.720 9.407 0.694
Y 3.001 1.276 9.882
Y 4.780 4.085 4.459
Y 6.604 6.423 2.151
Y 4.826 9.659 7.575
Ga -0.657 1.909 6.779
Ga 1.121 3.452 1.356
Ga -0.618 7.230 9.677
Ga 1.161 8.853 4.254
Ga 2.751 1.869 6.593
Ga 4.530 3.492 1.169
Ga 2.791 7.269 9.491
Ga 4.570 8.813 4.068
O -1.190 2.518 5.134
O -2.969 2.843 10.557
O -0.821 5.450 4.282
O -2.600 10.633 9.705
O 0.662 7.907 2.735
O -1.117 8.176 8.159
O -0.753 0.119 7.122
O 1.026 5.242 1.699
O 0.797 2.564 2.967
O -0.982 2.797 8.391
O -0.716 5.515 8.999
O 1.063 10.567 3.576
O 2.539 7.829 0.513
O 0.761 8.253 5.937
O 2.827 2.673 1.191
O 1.048 2.688 6.614
O 1.097 5.467 6.580
O 2.876 10.616 1.156
O 1.037 0.106 9.690
O 2.815 5.255 4.267
O 2.864 8.034 4.232
O 1.085 8.048 9.656
O 3.152 2.468 4.910
O 1.373 2.892 10.333
O 2.850 0.154 7.271
O 4.628 5.207 1.848
O 4.894 7.925 2.456
O 3.116 8.158 7.879
O 2.887 5.479 9.148
O 4.665 10.603 3.724
O 5.029 2.546 2.688
O 3.250 2.815 8.111
O 6.512 0.089 1.141
O 4.733 5.272 6.565
O 6.881 7.879 0.289
O 5.103 8.204 5.713
```

Density functional theory data (PBE-GGA) for Y4Ga2O9 after structural relaxation.

distance to the lowest polymorph of the same formula = 0.001 eV per atom
ΔH_f (0 K) = -3.411 eV per atom

Cell and atoms, written as extended XYZ:
```
60
Lattice="7.425 0.000 0.000 0.000 10.672 0.000 -3.474 0.000 10.875" Properties=species:S:1:pos:R:3 pbc="T T T"
Y -0.803 1.233 4.437
Y -2.540 4.103 9.874
Y -0.738 6.569 7.828
Y 0.999 9.439 2.390
Y -0.748 1.057 8.701
Y 0.989 4.279 3.264
Y 2.814 6.709 0.637
Y 1.077 9.299 6.075
Y 2.874 1.373 4.800
Y 1.137 3.963 10.238
Y 2.961 6.393 7.611
Y 4.698 9.615 2.173
Y 2.952 1.233 8.484
Y 4.689 4.103 3.047
Y 6.491 6.569 1.001
Y 4.754 9.439 6.438
Ga -0.720 7.215 4.255
Ga -2.457 8.792 9.693
Ga 2.886 1.825 1.330
Ga 1.149 3.511 6.768
Ga 2.802 7.161 4.107
Ga 1.065 8.847 9.545
Ga 6.408 1.879 1.182
Ga 4.671 3.457 6.619
O -0.944 5.533 3.530
O -2.681 10.474 8.967
O -2.337 2.485 8.140
O -0.600 2.851 2.702
O -1.004 7.884 5.948
O 0.733 8.123 0.510
O -0.711 0.064 6.582
O 1.027 5.272 1.145
O -1.079 2.497 10.574
O 0.658 2.839 5.137
O 1.050 7.882 4.204
O -0.687 8.126 9.641
O 1.119 0.032 4.260
O -0.618 5.304 9.697
O 2.747 0.014 1.558
O 1.010 5.322 6.996
O 0.883 2.613 8.388
O 2.620 2.723 2.950
O 1.331 7.949 7.924
O 3.068 8.059 2.487
O 2.941 5.350 3.879
O 1.204 10.658 9.317
O 4.569 5.368 1.178
O 2.832 10.639 6.615
O 4.638 2.546 1.233
O 2.900 2.790 6.671
O 3.293 7.833 5.738
O 5.030 8.175 0.300
O 2.924 5.400 9.730
O 4.661 10.608 4.293
O 3.218 2.548 10.364
O 4.955 2.788 4.927
O 4.551 7.821 8.173
O 6.288 8.187 2.735
O 6.632 0.197 1.907
O 4.895 5.139 7.345
```

Density functional theory data (PBE-GGA) for Y4Ga2O9 after structural relaxation.

distance to the lowest polymorph of the same formula = 0.053 eV per atom
ΔH_f (0 K) = -3.358 eV per atom

Cell and atoms, written as extended XYZ:
```
60
Lattice="11.530 0.000 0.000 0.000 6.094 0.000 0.000 0.000 11.102" Properties=species:S:1:pos:R:3 pbc="T T T"
Y 0.029 1.517 0.939
Y 0.029 4.577 6.490
Y 1.639 1.374 8.769
Y 1.639 4.720 3.218
Y 4.126 1.673 3.218
Y 4.126 4.421 8.769
Y 5.736 1.530 6.490
Y 5.736 4.563 0.939
Y 5.794 1.530 10.163
Y 5.794 4.563 4.612
Y 7.404 1.673 2.333
Y 7.404 4.421 7.885
Y 9.892 1.374 7.885
Y 9.892 4.720 2.333
Y 11.502 1.517 4.612
Y 11.502 4.577 10.163
Ga 2.596 2.683 5.966
Ga 2.596 3.411 0.415
Ga 3.169 0.364 0.415
Ga 3.169 5.730 5.966
Ga 8.362 0.364 5.136
Ga 8.362 5.730 10.687
Ga 8.934 2.683 10.687
Ga 8.934 3.411 5.136
O 0.000 0.203 2.776
O 0.000 5.890 8.327
O 0.655 2.335 6.763
O 0.655 3.758 1.212
O 1.360 0.268 10.736
O 1.360 5.826 5.185
O 2.006 2.653 4.145
O 2.006 3.441 9.696
O 2.559 1.823 1.479
O 2.559 4.271 7.031
O 3.206 1.224 7.031
O 3.206 4.869 1.479
O 3.759 0.394 9.696
O 3.759 5.700 4.145
O 4.405 2.779 5.185
O 4.405 3.315 10.736
O 5.110 0.712 1.212
O 5.110 5.382 6.763
O 5.765 2.843 8.327
O 5.765 3.250 2.776
O 6.420 0.712 4.339
O 6.420 5.382 9.890
O 7.126 2.779 0.366
O 7.126 3.315 5.917
O 7.771 0.394 6.957
O 7.771 5.700 1.406
O 8.324 1.224 9.623
O 8.324 4.869 4.072
O 8.972 1.823 4.072
O 8.972 4.271 9.623
O 9.525 2.653 1.406
O 9.525 3.441 6.957
O 10.170 0.268 5.917
O 10.170 5.826 0.366
O 10.875 2.335 9.890
O 10.875 3.758 4.339
```

Density functional theory data (PBE-GGA) for Ga3Os after structural relaxation.

ΔH_f (0 K) = -0.268 eV per atom

Cell and atoms, written as extended XYZ:
```
16
Lattice="6.554 0.000 0.000 0.000 6.554 0.000 0.000 0.000 6.837" Properties=species:S:1:pos:R:3 pbc="T T T"
Ga 0.000 3.277 0.000
Ga 0.000 3.277 3.418
Ga 1.013 1.013 1.607
Ga 1.013 1.013 5.229
Ga 2.264 4.290 1.811
Ga 2.264 4.290 5.026
Ga 3.277 0.000 0.000
Ga 3.277 0.000 3.418
Ga 4.290 2.264 1.811
Ga 4.290 2.264 5.026
Ga 5.540 5.540 1.607
Ga 5.540 5.540 5.229
Os 1.051 5.503 0.000
Os 2.226 2.226 3.418
Os 4.328 4.328 3.418
Os 5.503 1.051 0.000
```

Density functional theory data (PBE-GGA) for Sc6Ga16Os7 after structural relaxation.

ΔH_f (0 K) = -0.390 eV per atom

Cell and atoms, written as extended XYZ:
```
29
Lattice="0.000 6.233 6.233 6.233 0.000 6.233 6.233 6.233 0.000" Properties=species:S:1:pos:R:3 pbc="T T T"
Sc 6.233 6.233 2.700
Sc 6.233 2.700 6.233
Sc 9.766 6.233 6.233
Sc 2.700 6.233 6.233
Sc 6.233 9.766 6.233
Sc 6.233 6.233 9.766
Ga 7.752 4.714 4.714
Ga 1.962 1.962 1.962
Ga 4.271 4.271 1.962
Ga 4.271 1.962 4.271
Ga 4.714 4.714 4.714
Ga 7.752 7.752 4.714
Ga 7.752 4.714 7.752
Ga 10.503 8.195 8.195
Ga 1.962 4.271 4.271
Ga 4.714 7.752 4.714
Ga 4.714 4.714 7.752
Ga 7.752 7.752 7.752
Ga 8.195 10.503 8.195
Ga 8.195 8.195 10.503
Ga 10.503 10.503 10.503
Ga 4.714 7.752 7.752
Os 3.116 3.116 0.000
Os 3.116 0.000 3.116
Os 6.233 3.116 3.116
Os 0.000 3.116 3.116
Os 3.116 6.233 3.116
Os 3.116 3.116 6.233
Os 6.233 6.233 6.233
```

Density functional theory data (PBE-GGA) for TmGa3Os after structural relaxation.

ΔH_f (0 K) = -0.481 eV per atom

Cell and atoms, written as extended XYZ:
```
15
Lattice="6.398 0.000 0.000 0.000 6.398 0.000 0.000 0.000 6.398" Properties=species:S:1:pos:R:3 pbc="T T T"
Tm 0.000 0.000 3.199
Tm 0.000 3.199 0.000
Tm 3.199 0.000 0.000
Ga 0.000 0.000 0.000
Ga 1.832 1.832 1.832
Ga 1.832 1.832 4.565
Ga 1.832 4.565 1.832
Ga 1.832 4.565 4.565
Ga 4.565 1.832 1.832
Ga 4.565 1.832 4.565
Ga 4.565 4.565 1.832
Ga 4.565 4.565 4.565
Os 0.000 3.199 3.199
Os 3.199 0.000 3.199
Os 3.199 3.199 0.000
```

Density functional theory data (PBE-GGA) for UGa5Os after structural relaxation.

ΔH_f (0 K) = -0.279 eV per atom

Cell and atoms, written as extended XYZ:
```
7
Lattice="4.398 0.000 0.000 0.000 4.398 0.000 0.000 0.000 6.634" Properties=species:S:1:pos:R:3 pbc="T T T"
U 0.000 0.000 0.000
Ga 0.000 2.199 1.992
Ga 0.000 2.199 4.643
Ga 2.199 0.000 1.992
Ga 2.199 0.000 4.643
Ga 2.199 2.199 0.000
Os 0.000 0.000 3.317
```

Density functional theory data (PBE-GGA) for Ga3P after structural relaxation.

distance to the lowest polymorph of the same formula = 0.009 eV per atom
ΔH_f (0 K) = 0.152 eV per atom

Cell and atoms, written as extended XYZ:
```
4
Lattice="4.235 0.000 0.000 0.000 4.235 0.000 0.000 0.000 4.235" Properties=species:S:1:pos:R:3 pbc="T T T"
Ga 0.000 0.000 2.118
Ga 0.000 2.118 0.000
Ga 2.118 0.000 0.000
P 2.118 2.118 2.118
```

Density functional theory data (PBE-GGA) for Ga3P after structural relaxation.

distance to the lowest polymorph of the same formula = 0.000 eV per atom
ΔH_f (0 K) = 0.143 eV per atom

Cell and atoms, written as extended XYZ:
```
4
Lattice="-1.883 1.883 5.193 1.883 -1.883 5.193 1.883 1.883 -5.193" Properties=species:S:1:pos:R:3 pbc="T T T"
Ga 0.000 0.000 0.000
Ga 1.883 0.000 2.597
Ga 0.000 1.883 2.597
P 0.000 0.000 5.193
```

Density functional theory data (PBE-GGA) for GaPPd5 after structural relaxation.

ΔH_f (0 K) = -0.567 eV per atom

Cell and atoms, written as extended XYZ:
```
7
Lattice="3.935 0.000 0.000 0.000 3.935 0.000 0.000 0.000 6.876" Properties=species:S:1:pos:R:3 pbc="T T T"
Ga 0.000 0.000 0.000
P 1.968 1.968 3.438
Pd 0.000 1.968 2.006
Pd 0.000 1.968 4.871
Pd 1.968 0.000 2.006
Pd 1.968 0.000 4.871
Pd 1.968 1.968 0.000
```

Density functional theory data (PBE-GGA) for GaPS4 after structural relaxation.

ΔH_f (0 K) = -0.751 eV per atom

Cell and atoms, written as extended XYZ:
```
24
Lattice="8.644 0.000 0.000 0.000 8.207 0.000 -7.898 0.000 9.145" Properties=species:S:1:pos:R:3 pbc="T T T"
Ga -2.052 0.362 3.509
Ga -6.001 3.741 8.082
Ga 6.747 4.466 1.064
Ga 2.798 7.845 5.636
P -4.016 1.867 5.966
P -0.067 2.237 1.393
P 0.813 5.970 7.752
P 4.762 6.340 3.179
S -6.142 5.897 8.939
S -2.192 6.413 4.366
S -4.079 0.110 7.049
S -0.129 3.993 2.477
S 1.704 1.949 0.355
S -2.245 2.155 4.927
S 0.040 0.530 2.560
S -3.909 3.574 7.133
S 4.655 4.633 2.012
S 0.706 7.677 6.585
S 2.991 6.052 4.218
S -0.958 6.258 8.791
S 0.875 4.214 6.669
S 4.825 8.097 2.096
S 2.938 1.794 4.779
S 6.888 2.310 0.206
```

Density functional theory data (PBE-GGA) for PaGaTc2 after structural relaxation.

ΔH_f (0 K) = -0.261 eV per atom

Cell and atoms, written as extended XYZ:
```
4
Lattice="0.000 3.264 3.264 3.264 0.000 3.264 3.264 3.264 0.000" Properties=species:S:1:pos:R:3 pbc="T T T"
Pa 0.000 0.000 0.000
Ga 3.264 3.264 3.264
Tc 1.632 1.632 1.632
Tc 4.896 4.896 4.896
```

Density functional theory data (PBE-GGA) for GaPb3 after structural relaxation.

distance to the lowest polymorph of the same formula = 0.000 eV per atom
ΔH_f (0 K) = 0.038 eV per atom

Cell and atoms, written as extended XYZ:
```
4
Lattice="-2.411 2.411 5.047 2.411 -2.411 5.047 2.411 2.411 -5.047" Properties=species:S:1:pos:R:3 pbc="T T T"
Ga 0.000 0.000 0.000
Pb 2.411 0.000 2.523
Pb 0.000 0.000 5.047
Pb 0.000 2.411 2.523
```

Density functional theory data (PBE-GGA) for GaPb3 after structural relaxation.

distance to the lowest polymorph of the same formula = 0.041 eV per atom
ΔH_f (0 K) = 0.079 eV per atom

Cell and atoms, written as extended XYZ:
```
8
Lattice="6.817 0.000 0.000 -3.408 5.903 0.000 0.000 0.000 5.816" Properties=species:S:1:pos:R:3 pbc="T T T"
Ga 0.000 3.936 1.454
Ga 3.408 1.968 4.362
Pb 0.000 2.006 4.362
Pb -1.671 4.900 4.362
Pb 1.738 1.003 1.454
Pb 1.671 4.900 4.362
Pb 5.079 1.003 1.454
Pb 3.408 3.897 1.454
```